(1)
VASP calculation (PBE+U) on a geometry-optimized V3H6O10 structure.

Calculated values
Energy above the lowest structure with this stoichiometry ... 6 meV/atom
Magnetization ... 0.0000 μB per atom

Cell lengths 6.110, 8.907, 9.072 Å; angles 88.65, 86.15, 81.80 degrees
Positions (direct):
V1 0.000 0.000 0.000
V2 0.005 0.503 0.494
V3 0.021 0.372 0.873
V4 0.031 0.638 0.133
V5 0.955 0.137 0.368
V6 0.981 0.863 0.643
H1 0.271 0.305 0.659
H2 0.392 0.730 0.891
H3 0.470 0.103 0.695
H4 0.541 0.189 0.548
H5 0.556 0.856 0.409
H6 0.559 0.231 0.231
H7 0.562 0.336 0.080
H8 0.579 0.594 0.842
H9 0.603 0.739 0.269
H10 0.608 0.796 0.729
H11 0.612 0.135 0.060
H12 0.617 0.662 0.444
O1 0.043 0.077 0.192
O2 0.054 0.991 0.499
O3 0.056 0.303 0.408
O4 0.084 0.681 0.594
O5 0.084 0.911 0.804
O6 0.099 0.184 0.920
O7 0.113 0.581 0.309
O8 0.126 0.390 0.678
O9 0.133 0.493 0.995
O10 0.135 0.804 0.072
O11 0.468 0.204 0.650
O12 0.493 0.690 0.809
O13 0.511 0.245 0.126
O14 0.528 0.758 0.374
O15 0.674 0.163 0.382
O16 0.690 0.876 0.664
O17 0.719 0.027 0.001
O18 0.728 0.548 0.505
O19 0.749 0.416 0.888
O20 0.755 0.670 0.139

=====

(2)
VASP calculation (PBE+U) on a geometry-optimized V3H6O10 structure.

Calculated values
Energy above the lowest structure with this stoichiometry ... 5 meV/atom
Magnetization ... 0.0527 μB per atom

Cell lengths 9.031, 9.031, 5.542 Å; angles 90.00, 90.00, 90.00 degrees
Positions (direct):
V1 0.000 0.000 0.000
V2 0.139 0.361 0.026
V3 0.361 0.861 0.026
V4 0.500 0.500 0.000
V5 0.639 0.139 0.026
V6 0.861 0.639 0.026
H1 0.053 0.677 0.470
H2 0.177 0.553 0.470
H3 0.230 0.270 0.420
H4 0.270 0.770 0.420
H5 0.323 0.053 0.470
H6 0.447 0.177 0.470
H7 0.553 0.823 0.470
H8 0.677 0.947 0.470
H9 0.730 0.230 0.420
H10 0.770 0.730 0.420
H11 0.823 0.447 0.470
H12 0.947 0.323 0.470
O1 0.000 0.000 0.294
O2 0.000 0.500 0.970
O3 0.087 0.195 0.908
O4 0.154 0.346 0.347
O5 0.159 0.659 0.500
O6 0.195 0.913 0.908
O7 0.305 0.413 0.908
O8 0.341 0.159 0.500
O9 0.346 0.846 0.347
O10 0.413 0.695 0.908
O11 0.500 0.000 0.970
O12 0.500 0.500 0.294
O13 0.587 0.305 0.908
O14 0.654 0.154 0.347
O15 0.659 0.841 0.500
O16 0.695 0.587 0.908
O17 0.805 0.087 0.908
O18 0.841 0.341 0.500
O19 0.846 0.654 0.347
O20 0.913 0.805 0.908

=====

(3)
VASP calculation (PBE+U) on a geometry-optimized V3H5O8 structure.

Calculated values
Energy above the lowest structure with this stoichiometry ... 60 meV/atom
Magnetization ... 0.2500 μB per atom

Cell lengths 3.070, 4.930, 10.139 Å; angles 77.23, 81.55, 89.68 degrees
Positions (direct):
V1 0.000 0.000 0.000
V2 0.160 0.875 0.609
V3 0.368 0.713 0.269
H1 0.461 0.898 0.810
H2 0.500 0.434 0.005
H3 0.680 0.425 0.641
H4 0.802 0.324 0.405
H5 0.879 0.173 0.242
O1 0.147 0.931 0.804
O2 0.281 0.782 0.433
O3 0.466 0.716 0.077
O4 0.516 0.264 0.965
O5 0.657 0.606 0.668
O6 0.743 0.118 0.567
O7 0.850 0.432 0.308
O8 0.895 0.993 0.207

=====

(4)
VASP calculation (PBE+U) on a geometry-optimized VHO2 structure.

Calculated values
Magnetization ... 0.5000 μB per atom
Uncorrected energy ... -6.900 eV per atom

Cell lengths 3.153, 4.649, 10.075 Å; angles 90.00, 90.00, 90.00 degrees
Positions (direct):
V1 0.000 0.207 0.000
V2 0.000 0.793 0.500
V3 0.500 0.293 0.291
V4 0.500 0.707 0.791
H1 0.000 0.150 0.732
H2 0.000 0.850 0.232
H3 0.500 0.348 0.570
H4 0.500 0.652 0.070
O1 0.000 0.051 0.200
O2 0.000 0.460 0.845
O3 0.000 0.540 0.345
O4 0.000 0.949 0.700
O5 0.500 0.034 0.443
O6 0.500 0.445 0.093
O7 0.500 0.555 0.593
O8 0.500 0.966 0.943

=====

(5)
VASP calculation (PBE+U) on a geometry-optimized V3H6O10 structure.

Calculated values
Energy above the lowest structure with this stoichiometry ... 26 meV/atom
Magnetization ... 0.0526 μB per atom

Cell lengths 5.817, 8.812, 9.114 Å; angles 88.61, 87.39, 85.33 degrees
Positions (direct):
V1 0.000 0.000 0.000
V2 0.002 0.740 0.737
V3 0.945 0.493 0.246
V4 0.950 0.224 0.518
V5 0.970 0.362 0.878
V6 0.978 0.860 0.364
H1 0.267 0.667 0.536
H2 0.397 0.081 0.775
H3 0.405 0.497 0.660
H4 0.497 0.468 0.499
H5 0.520 0.641 0.123
H6 0.533 0.140 0.126
H7 0.541 0.246 0.262
H8 0.548 0.734 0.974
H9 0.556 0.135 0.614
H10 0.571 0.945 0.703
H11 0.593 0.466 0.949
H12 0.598 0.979 0.316
O1 0.019 0.440 0.065
O2 0.039 0.039 0.470
O3 0.052 0.277 0.683
O4 0.053 0.349 0.376
O5 0.061 0.665 0.285
O6 0.062 0.553 0.792
O7 0.067 0.948 0.182
O8 0.117 0.172 0.946
O9 0.121 0.862 0.864
O10 0.130 0.754 0.547
O11 0.453 0.549 0.568
O12 0.468 0.042 0.682
O13 0.492 0.640 0.018
O14 0.497 0.147 0.233
O15 0.654 0.236 0.535
O16 0.660 0.509 0.271
O17 0.665 0.377 0.890
O18 0.675 0.882 0.359
O19 0.718 0.017 0.985
O20 0.723 0.789 0.732

=====

(6)
VASP calculation (PBE+U) on a geometry-optimized V3H6O10 structure.

Calculated values
Energy above the lowest structure with this stoichiometry ... 0 meV/atom
Magnetization ... 0.0527 μB per atom

Cell lengths 6.113, 8.927, 9.013 Å; angles 88.53, 85.10, 79.97 degrees
Positions (direct):
V1 0.000 0.000 0.000
V2 0.000 0.137 0.626
V3 0.013 0.621 0.127
V4 0.034 0.262 0.260
V5 0.951 0.775 0.494
V6 0.971 0.489 0.778
H1 0.321 0.832 0.774
H2 0.370 0.449 0.521
H3 0.379 0.337 0.033
H4 0.508 0.682 0.782
H5 0.551 0.882 0.332
H6 0.564 0.815 0.591
H7 0.579 0.370 0.904
H8 0.581 0.400 0.404
H9 0.585 0.961 0.158
H10 0.588 0.188 0.990
H11 0.591 0.776 0.183
H12 0.623 0.300 0.583
O1 0.006 0.628 0.629
O2 0.059 0.709 0.323
O3 0.060 0.929 0.542
O4 0.078 0.032 0.813
O5 0.089 0.812 0.042
O6 0.096 0.312 0.708
O7 0.105 0.535 0.928
O8 0.120 0.199 0.436
O9 0.121 0.118 0.117
O10 0.153 0.422 0.199
O11 0.476 0.787 0.743
O12 0.489 0.290 0.953
O13 0.512 0.884 0.224
O14 0.533 0.428 0.510
O15 0.656 0.828 0.489
O16 0.700 0.488 0.828
O17 0.716 0.046 0.037
O18 0.718 0.195 0.631
O19 0.737 0.639 0.137
O20 0.759 0.307 0.270

=====

(7)
VASP calculation (PBE+U) on a geometry-optimized VHO2 structure.

Calculated values
Uncorrected energy ... -6.904 eV per atom

Cell lengths 10.021, 3.136, 4.666 Å; angles 90.00, 90.00, 90.00 degrees
Positions (direct):
V1 0.144 0.250 0.059
V2 0.356 0.750 0.559
V3 0.644 0.250 0.441
V4 0.856 0.750 0.941
H1 0.091 0.750 0.608
H2 0.409 0.250 0.108
H3 0.591 0.750 0.892
H4 0.909 0.250 0.392
O1 0.058 0.750 0.810
O2 0.198 0.750 0.310
O3 0.302 0.250 0.810
O4 0.442 0.250 0.310
O5 0.558 0.750 0.690
O6 0.698 0.750 0.190
O7 0.802 0.250 0.690
O8 0.942 0.250 0.190

=====

(8)
VASP calculation (PBE+U) on a geometry-optimized V3H6O10 structure.

Calculated values
Energy above the lowest structure with this stoichiometry ... 27 meV/atom
Magnetization ... 0.0527 μB per atom

Cell lengths 5.945, 8.958, 9.078 Å; angles 90.00, 91.68, 90.00 degrees
Positions (direct):
V1 0.000 0.111 0.000
V2 0.000 0.889 0.500
V3 0.015 0.249 0.363
V4 0.015 0.751 0.863
V5 0.993 0.386 0.727
V6 0.993 0.614 0.227
H1 0.344 0.387 0.004
H2 0.344 0.613 0.504
H3 0.413 0.108 0.617
H4 0.413 0.892 0.117
H5 0.450 0.038 0.772
H6 0.450 0.962 0.272
H7 0.550 0.455 0.090
H8 0.550 0.545 0.590
H9 0.603 0.318 0.754
H10 0.603 0.682 0.254
H11 0.617 0.189 0.040
H12 0.617 0.811 0.540
O1 0.070 0.256 0.869
O2 0.070 0.744 0.369
O3 0.096 0.336 0.560
O4 0.096 0.664 0.060
O5 0.101 0.443 0.275
O6 0.101 0.557 0.775
O7 0.103 0.162 0.169
O8 0.103 0.838 0.669
O9 0.120 0.055 0.450
O10 0.120 0.945 0.950
O11 0.499 0.120 0.710
O12 0.499 0.880 0.210
O13 0.505 0.372 0.026
O14 0.505 0.628 0.526
O15 0.694 0.402 0.718
O16 0.694 0.598 0.218
O17 0.704 0.100 0.004
O18 0.704 0.900 0.504
O19 0.742 0.242 0.357
O20 0.742 0.758 0.857

=====

So what do the calculations give for calculated density? Going down the list: 2.172 2.343 3.208 3.776 2.277 2.195 3.803 2.192 g cm⁻³.